Density functional theory data (GGA-PBE) for a geometry-optimized LiCuP3O9 structure.

Lattice parameters (Å, degrees): 6.280 6.893 7.682 80.89 88.94 84.07
Element x y z (fractional)
Li 0.117 0.572 0.177
Li 0.883 0.428 0.823
Cu 0.193 0.127 0.139
Cu 0.807 0.873 0.861
P 0.158 0.224 0.543
P 0.303 0.859 0.770
P 0.376 0.417 0.795
P 0.624 0.583 0.205
P 0.697 0.141 0.230
P 0.842 0.776 0.457
O 0.044 0.734 0.360
O 0.159 0.277 0.343
O 0.112 0.879 0.895
O 0.190 0.372 0.920
O 0.246 0.991 0.582
O 0.352 0.326 0.615
O 0.337 0.650 0.710
O 0.402 0.633 0.140
O 0.497 0.074 0.162
O 0.503 0.926 0.838
O 0.598 0.367 0.860
O 0.663 0.350 0.290
O 0.648 0.674 0.385
O 0.754 0.009 0.418
O 0.810 0.628 0.080
O 0.888 0.121 0.105
O 0.841 0.723 0.657
O 0.956 0.266 0.640

M_tot = 2.004 μB/cell
Space group = P-1 (2)
Energy of formation from the pure elements = -2.354 eV/atom
Offset from the most stable computed form = 0.050 eV per atom

Density functional theory data (GGA-PBE) for a geometry-optimized Tb3Ga2 structure.

Lattice parameters (Å, degrees): 11.157 11.157 11.157 116.91 116.91 95.44
Element x y z (fractional)
Tb 0.147 0.647 0.500
Tb 0.647 0.147 0.500
Tb 0.853 0.353 0.500
Tb 0.353 0.853 0.500
Tb 0.668 0.168 0.837
Tb 0.332 0.832 0.163
Tb 0.168 0.332 0.500
Tb 0.832 0.668 0.500
Tb 0.067 0.931 0.270
Tb 0.661 0.796 0.730
Tb 0.567 0.296 0.136
Tb 0.161 0.431 0.864
Tb 0.796 0.067 0.136
Tb 0.931 0.661 0.864
Tb 0.431 0.567 0.270
Tb 0.296 0.161 0.730
Tb 0.933 0.069 0.730
Tb 0.339 0.204 0.270
Tb 0.433 0.704 0.864
Tb 0.839 0.569 0.136
Tb 0.204 0.933 0.864
Tb 0.069 0.339 0.136
Tb 0.569 0.433 0.730
Tb 0.704 0.839 0.270
Ga 0.750 0.750 0.000
Ga 0.250 0.250 0.000
Ga 0.000 0.000 0.000
Ga 0.500 0.500 0.000
Ga 0.116 0.616 0.733
Ga 0.884 0.384 0.267
Ga 0.616 0.884 0.500
Ga 0.384 0.116 0.500
Ga 0.879 0.379 0.856
Ga 0.523 0.023 0.144
Ga 0.379 0.523 0.500
Ga 0.023 0.879 0.500
Ga 0.121 0.621 0.144
Ga 0.477 0.977 0.856
Ga 0.621 0.477 0.500
Ga 0.977 0.121 0.500

Space group = I4/mcm (140)
Energy of formation from the pure elements = -0.532 eV/atom

Density functional theory data (GGA-PBE) for a geometry-optimized CuH2Se2O6 structure.

Lattice parameters (Å, degrees): 7.423 5.844 8.506 49.86 90.00 90.00
Element x y z (fractional)
Cu 0.000 0.000 0.000
Cu 0.500 0.000 0.500
H 0.402 0.936 0.162
H 0.902 0.064 0.338
H 0.098 0.936 0.662
H 0.598 0.064 0.838
Se 0.335 0.361 0.716
Se 0.835 0.639 0.784
Se 0.165 0.361 0.216
Se 0.665 0.639 0.284
O 0.763 0.915 0.534
O 0.237 0.085 0.466
O 0.263 0.085 0.966
O 0.547 0.417 0.255
O 0.737 0.915 0.034
O 0.047 0.583 0.245
O 0.453 0.583 0.745
O 0.953 0.417 0.755
O 0.483 0.842 0.287
O 0.983 0.158 0.213
O 0.517 0.158 0.713
O 0.017 0.842 0.787

M_tot = 1.999 μB/cell
Space group = P2_1/c (14)
Energy of formation from the pure elements = -1.171 eV/atom

Density functional theory data (GGA-PBE) for a geometry-optimized SmMo6Se4S4 structure.

Lattice parameters (Å, degrees): 6.630 6.683 6.697 87.62 88.45 88.69
Element x y z (fractional)
Sm 0.001 0.019 0.983
Mo 0.566 0.230 0.429
Mo 0.424 0.560 0.234
Mo 0.226 0.419 0.565
Mo 0.436 0.767 0.575
Mo 0.578 0.433 0.772
Mo 0.776 0.575 0.437
Se 0.633 0.881 0.236
Se 0.235 0.627 0.881
Se 0.237 0.234 0.245
Se 0.764 0.760 0.758
S 0.131 0.740 0.373
S 0.375 0.126 0.747
S 0.747 0.375 0.133
S 0.872 0.254 0.632

M_tot = 0.001 μB/cell
Space group = P1 (1)
Energy of formation from the pure elements = -0.918 eV/atom